[1]
# Na10Al4In4Si5S7O48

An optimized crystal structure of Na10Al4In4Si5S7O48 (PBE, Materials Project).

Output
Its crystal system is triclinic. The formation energy is -2.4002 eV/atom. As for the calculated volume: 13.05 Å³ per atom. The value obtained for the calculated total energy is -0.459 Ry per atom. The magnetization comes out at 0.00 μB per formula unit.

abc: 17.7228 8.9150 22.3332
angles: 89.58 88.89 120.02
Closest atoms and distances in Å follow each position.
Atoms (fractional coordinates):
O 0.7481 0.6902 0.2670  1 Si 1.66, 1 Al 1.86
O 0.2592 0.8711 0.3651  1 S 1.48
O 0.0784 0.6709 0.7455  1 Si 1.64
O 0.4209 0.4924 0.4282  1 Si 1.65, 1 Al 1.82
O 0.8951 0.9767 0.4213  1 S 1.49
O 0.3559 0.1446 0.0337  1 S 1.50
O 0.0862 0.9749 0.9154  1 S 1.48
O 0.2425 0.1457 0.9179  1 S 1.49
O 0.2540 0.8692 0.0852  1 S 1.49
O 0.0288 0.2431 0.1898  1 Si 1.64
O 0.1582 0.4629 0.7462  1 S 1.48
O 0.3434 0.1850 0.7357  1 Si 1.66, 1 Al 1.82
O 0.5805 0.4841 0.9742  1 Si 1.63, 1 Al 1.78
O 0.4122 0.0122 0.0945  1 S 1.49
O 0.6624 0.4704 0.7534  1 S 1.48
O 0.0748 0.6637 0.0801  1 S 1.49
O 0.3190 0.5044 0.9171  1 S 1.47
O 0.4085 0.7894 0.5811  1 S 1.49
O 0.7595 0.8725 0.3632  1 S 1.49
O 0.9197 0.4818 0.4276  1 Si 1.65, 1 Al 1.81
O 0.0123 0.8402 0.4141  1 Si 1.66
O 0.1616 0.4576 0.4710  1 S 1.49
O 0.4853 0.7719 0.8032  1 S 1.48
O 0.7518 0.6345 0.5731  1 S 1.47
O 0.5966 0.0307 0.5792  1 Si 1.67
O 0.7277 0.1438 0.2478  1 S 1.50
O 0.9065 0.5043 0.7321  1 Si 1.65
O 0.7326 0.3595 0.1430  1 Si 1.63
O 0.4228 0.3506 0.9214  1 Si 1.63
O 0.5190 0.2107 0.1900  1 Si 1.64, 1 Al 1.80
O 0.8149 0.5074 0.9235  1 S 1.49
O 0.6778 0.4813 0.3614  1 S 1.52
O 0.6569 0.4744 0.4709  1 S 1.47
O 0.2503 0.1478 0.6380  1 Si 1.64, 1 Al 1.78
O 0.5780 0.1498 0.0920  1 Si 1.65
O 0.9084 0.0563 0.8049  1 Si 1.64
O 0.4186 0.0641 0.7987  1 Si 1.63
O 0.5828 0.7121 0.4714  1 Si 1.64, 1 Al 1.74
O 0.4202 0.3272 0.5300  1 S 1.49
O 0.5901 0.2053 0.4150  1 S 1.48
O 0.2560 0.8423 0.7509  1 Si 1.63
O 0.4335 0.5710 0.0324  1 S 1.48
O 0.5101 0.8021 0.6942  1 S 1.46
O 0.2287 0.3178 0.0216  1 Si 1.64
O 0.4419 0.5152 0.1395  1 S 1.52
O 0.9253 0.3134 0.5298  1 S 1.48
O 0.3234 0.1357 0.4191  1 S 1.50
O 0.8248 0.4996 0.2484  1 Si 1.63
O 0.2850 0.8653 0.4732  1 S 1.51
O 0.2430 0.1565 0.2405  1 S 1.49
O 0.7469 0.3650 0.4222  1 S 1.51
O 0.0155 0.8296 0.6851  1 Si 1.64, 1 Al 1.80
O 0.6463 0.8343 0.2560  1 S 1.49
O 0.4177 0.7812 0.3077  1 Si 1.62, 1 Al 1.76
O 0.5695 0.6606 0.7489  1 S 1.51
O 0.0880 0.0290 0.5877  1 Si 1.66
O 0.5859 0.9741 0.1984  1 S 1.48
O 0.1681 0.8504 0.2617  1 S 1.49
O 0.8125 0.1265 0.4217  1 S 1.49
O 0.1778 0.5021 0.0894  1 Si 1.67
O 0.5985 0.0219 0.3068  1 S 1.49
O 0.9110 0.7957 0.5847  1 S 1.51
O 0.2511 0.3392 0.1432  1 Si 1.63, 1 Al 1.81
O 0.1801 0.8611 0.5819  1 Si 1.70
O 0.6622 0.8481 0.9722  1 S 1.47
O 0.0709 0.6432 0.3600  1 Si 1.65, 1 Al 1.84
O 0.7379 0.1354 0.9222  1 S 1.49
O 0.5822 0.4765 0.2598  1 Si 1.65, 1 Al 1.83
O 0.7594 0.8403 0.4721  1 S 1.49
O 0.2576 0.6912 0.2633  1 Si 1.66
O 0.1791 0.8922 0.8601  1 S 1.48
O 0.6836 0.8586 0.5746  1 Si 1.66, 1 Al 1.79
O 0.4091 0.8157 0.9112  1 S 1.48
O 0.6210 0.1961 0.8069  1 S 1.50
O 0.1220 0.1928 0.8016  1 S 1.50
O 0.2672 0.6591 0.8621  1 S 1.47
O 0.5191 0.1898 0.9201  1 Si 1.67
O 0.9331 0.3542 0.6382  1 S 1.49
O 0.2825 0.6988 0.9709  1 S 1.49
O 0.0929 0.1951 0.6948  1 S 1.48
O 0.9352 0.5527 0.0308  1 S 1.47
O 0.3961 0.9791 0.6810  1 Si 1.64
O 0.9122 0.3164 0.2442  1 Si 1.65
O 0.7184 0.2961 0.0224  1 Si 1.63
O 0.3415 0.5151 0.2398  1 Si 1.66, 1 Al 1.83
O 0.8190 0.5202 0.6385  1 S 1.49
O 0.9040 0.9961 0.0836  1 S 1.49
O 0.9907 0.8091 0.0878  1 S 1.46
O 0.2416 0.3175 0.7335  1 S 1.49
O 0.2511 0.6230 0.5834  1 S 1.50
O 0.5718 0.6535 0.0794  1 S 1.50
O 0.7679 0.6568 0.8626  1 S 1.49
O 0.7598 0.6803 0.9720  1 S 1.48
O 0.6640 0.4983 0.0757  1 Si 1.67, 1 Al 1.83
O 0.5118 0.8486 0.4060  1 Si 1.68
O 0.4063 0.9851 0.4065  1 S 1.47
O 0.9720 0.7706 0.8034  1 Si 1.64
O 0.2398 0.1685 0.5188  1 Si 1.66, 1 Al 1.84
O 0.8492 0.5352 0.5304  1 S 1.51
O 0.9158 0.7681 0.3050  1 Si 1.62
O 0.8445 0.1389 0.0320  1 S 1.48
O 0.4790 0.1450 0.3058  1 Si 1.63
O 0.9476 0.5328 0.1395  1 S 1.49
O 0.4837 0.1877 0.5812  1 S 1.49
O 0.0718 0.4438 0.9767  1 Si 1.66
O 0.2514 0.3607 0.4179  1 S 1.50
O 0.3284 0.1303 0.1422  1 S 1.47
O 0.9807 0.1746 0.3075  1 Si 1.62
O 0.5614 0.4713 0.8523  1 Si 1.64
O 0.9824 0.1677 0.5893  1 S 1.47
O 0.4136 0.5192 0.7417  1 S 1.49
O 0.8120 0.0831 0.1394  1 S 1.49
O 0.4944 0.8112 0.0983  1 S 1.46
O 0.4407 0.3699 0.6377  1 S 1.50
O 0.1196 0.0433 0.3059  1 S 1.48
O 0.4115 0.3116 0.2410  1 Si 1.67
O 0.3385 0.5258 0.5277  1 S 1.47
O 0.8811 0.8253 0.1947  1 Si 1.64
O 0.5637 0.6360 0.3554  1 Si 1.66, 1 Al 1.80
O 0.7606 0.8190 0.7476  1 Si 1.66
O 0.4028 0.8475 0.1941  1 Si 1.64, 1 Al 1.83
O 0.9178 0.3431 0.9203  1 Si 1.63
O 0.1640 0.8648 0.9705  1 S 1.48
O 0.7415 0.3208 0.7388  1 S 1.47
O 0.8984 0.8215 0.9222  1 S 1.46
O 0.0729 0.7034 0.4794  1 Si 1.65
O 0.0946 0.2009 0.4130  1 S 1.48
O 0.0637 0.4827 0.5823  1 S 1.51
O 0.0874 0.5004 0.2598  1 Si 1.65, 1 Al 1.83
O 0.7502 0.1529 0.6379  1 Si 1.62, 1 Al 1.77
O 0.0590 0.4632 0.8536  1 Si 1.64
O 0.9104 0.9751 0.6897  1 Si 1.63, 1 Al 1.79
O 0.0897 0.1592 0.0882  1 Si 1.65
O 0.8408 0.1711 0.7356  1 Si 1.62, 1 Al 1.79
O 0.0966 0.9566 0.2008  1 S 1.48
O 0.5816 0.9591 0.9197  1 S 1.49
O 0.7442 0.1721 0.5182  1 Si 1.64, 1 Al 1.77
O 0.6784 0.8913 0.8624  1 S 1.48
O 0.5928 0.2120 0.7004  1 S 1.47
O 0.1804 0.4835 0.3614  1 S 1.48
O 0.7457 0.8445 0.0719  1 S 1.48
O 0.3307 0.5138 0.6375  1 S 1.48
O 0.5676 0.5031 0.5722  1 S 1.48
O 0.0125 0.1721 0.9143  1 Si 1.65
Na 0.6769 0.6593 0.1658  5 O 2.43-2.69
Na 0.6758 0.3626 0.2448  4 O 2.29-2.54
Na 0.1770 0.9899 0.7400  5 O 2.37-2.62
Na 0.8461 0.3616 0.3396  5 O 2.33-2.60
Na 0.3524 0.3672 0.3381  5 O 2.35-2.61
Na 0.8475 0.3188 0.8300  3 O 2.35-2.60
Na 0.4975 0.3532 0.7578  6 O 2.38-2.60
Na 0.5106 0.9931 0.4957  4 O 2.35-2.60
Na 0.6614 0.0296 0.4256  6 O 2.37-2.64
Na 0.0030 0.0030 0.0007  6 O 2.39-2.53
Na 0.3300 0.9734 0.5909  3 O 2.34-2.43
Na 0.5013 0.9960 0.0055  5 O 2.40-2.60
Na 0.0200 0.7112 0.5851  6 O 2.40-2.54
Na 0.6645 0.3007 0.9272  4 O 2.26-2.41
Na 0.6806 0.7145 0.6587  2 O 2.25-2.37
Na 0.4964 0.6248 0.2594  6 O 2.36-2.64
Na 0.8276 0.6517 0.7432  5 O 2.33-2.60
Na 0.9932 0.6339 0.2615  6 O 2.42-2.71
Na 0.1757 0.6614 0.1691  4 O 2.30-2.52
Na 0.9934 0.3592 0.7563  6 O 2.42-2.59
Na 0.5145 0.3310 0.0864  5 O 2.31-2.56
Na 0.1629 0.0173 0.4270  4 O 2.35-2.50
Na 0.3274 0.0000 0.2493  7 O 2.40-2.68
Na 0.3460 0.3330 0.8356  5 O 2.33-2.59
Na 0.1715 0.6724 0.6681  5 O 2.36-2.51
Na 0.0224 0.3282 0.0830  4 O 2.35-2.54
Na 0.9938 0.9953 0.5024  6 O 2.44-2.66
Na 0.8222 0.9985 0.2542  5 O 2.39-2.65
Na 0.1849 0.3765 0.2404  6 O 2.41-2.68
Na 0.1616 0.3021 0.9276  5 O 2.32-2.55
Si 0.9927 0.6958 0.7420  4 O 1.64-1.65
Si 0.6966 0.0562 0.5790  4 O 1.62-1.67
Si 0.0023 0.3067 0.2512  4 O 1.62-1.65
Si 0.0158 0.6582 0.4180  4 O 1.65-1.66
Si 0.3551 0.7111 0.2503  4 O 1.62-1.66
Si 0.1879 0.0586 0.5807  4 O 1.64-1.70
Si 0.8546 0.0052 0.7426  4 O 1.62-1.66
Si 0.3535 0.0098 0.7421  4 O 1.63-1.66
Si 0.5169 0.6671 0.4153  4 O 1.64-1.68
Si 0.4966 0.2823 0.2511  4 O 1.63-1.67
Si 0.6752 0.3245 0.0834  4 O 1.63-1.67
Si 0.8423 0.6968 0.2542  4 O 1.62-1.66
Si 0.0133 0.3574 0.9165  4 O 1.63-1.66
Si 0.1897 0.3277 0.0877  4 O 1.63-1.67
Si 0.5208 0.3785 0.9180  4 O 1.63-1.67
S 0.6643 0.9532 0.9205  4 O 1.47-1.49
S 0.9857 0.6410 0.0838  4 O 1.46-1.49
S 0.8251 0.0139 0.0820  4 O 1.48-1.49
S 0.1716 0.3778 0.4155  4 O 1.48-1.50
S 0.1524 0.2913 0.7433  4 O 1.48-1.50
S 0.4793 0.3503 0.5798  4 O 1.48-1.50
S 0.3191 0.9638 0.4143  4 O 1.47-1.51
S 0.3326 0.6100 0.5827  4 O 1.47-1.50
S 0.4847 0.6410 0.0871  4 O 1.46-1.52
S 0.6541 0.2967 0.7492  4 O 1.47-1.50
S 0.3358 0.0380 0.0900  4 O 1.47-1.50
S 0.8060 0.9535 0.4190  4 O 1.49
S 0.1554 0.0019 0.2522  4 O 1.48-1.49
S 0.8109 0.6701 0.9206  4 O 1.46-1.49
S 0.6374 0.9913 0.2519  4 O 1.48-1.50
S 0.3182 0.6688 0.9144  4 O 1.47-1.49
S 0.8299 0.6196 0.5821  4 O 1.47-1.51
S 0.9737 0.3232 0.5841  4 O 1.47-1.51
S 0.1671 0.9653 0.9165  4 O 1.48-1.49
S 0.6666 0.3819 0.4195  4 O 1.47-1.52
S 0.4933 0.6925 0.7474  4 O 1.46-1.51
Al 0.3304 0.3206 0.6801  4 O 1.78-1.96
Al 0.8373 0.3496 0.4839  3 O 1.77-1.88
Al 0.6513 0.6255 0.3169  4 O 1.80-1.86
Al 0.8297 0.3129 0.6839  4 O 1.77-1.94
Al 0.1605 0.6482 0.3156  4 O 1.83-1.96
Al 0.3382 0.3527 0.1882  4 O 1.81-1.97
Al 0.4994 0.0148 0.1536  3 O 1.80-1.87
Al 0.4855 0.9694 0.3476  4 O 1.76-1.96
Al 0.6614 0.6450 0.0194  3 O 1.78-1.91
Al 0.0015 0.9924 0.6473  3 O 1.79-1.91
Al 0.6579 0.7015 0.5177  3 O 1.74-1.87
Al 0.3377 0.3484 0.4824  4 O 1.82-1.91
In 0.5078 0.0028 0.6427  4 O 2.02-2.17
In 0.4961 0.0149 0.8508  4 O 2.02-2.19
In 0.9982 0.0034 0.1551  5 O 2.05-2.26
In 0.1619 0.6671 0.8119  5 O 2.02-2.23
In 0.1651 0.6695 0.5183  5 O 2.01-2.22
In 0.9879 0.9847 0.3529  4 O 2.03-2.20
In 0.3382 0.3361 0.9864  4 O 2.01-2.20
In 0.6682 0.6819 0.8143  5 O 2.05-2.23
In 0.9889 0.9903 0.8467  4 O 2.03-2.26
In 0.8322 0.3323 0.9846  6 O 2.04-2.24
In 0.8279 0.3351 0.1827  5 O 2.03-2.24
In 0.1695 0.6521 0.0195  5 O 2.06-2.23



[2]
# Rb2PH3SeO8

An optimized crystal structure of Rb2PH3SeO8 (PBE, Materials Project).

Output
For the excess energy over the best structure of this formula in the dataset, the calculation gives 0.0050 eV per atom. Its crystal system is triclinic. The formation energy is -1.8712 eV/atom. As for the calculated volume: 15.39 Å³ per atom. The value obtained for the calculated total energy is -0.408 Ry per atom. The magnetization comes out at 0.00 μB per formula unit.

abc: 7.7158 7.7517 7.8542
angles: 89.22 89.79 79.33
Closest atoms and distances in Å follow each position.
Atoms (fractional coordinates):
O 0.7470 0.5878 0.1042  1 H 1.58, 1 Se 1.67
O 0.9904 0.1748 0.1789  1 P 1.50
O 0.5252 0.3322 0.6681  1 Se 1.66
O 0.0121 0.6447 0.5469  1 H 1.21
O 0.4748 0.6678 0.3319  1 Se 1.66
O 0.9879 0.3553 0.4531  1 H 1.21
O 0.7127 0.8936 0.2804  1 H 1.61, 1 Se 1.67
O 0.7932 0.6118 0.7792  1 H 1.02
O 0.2873 0.1064 0.7196  1 H 1.61, 1 Se 1.67
O 0.2530 0.4122 0.8958  1 H 1.58, 1 Se 1.67
O 0.2068 0.3882 0.2208  1 H 1.02
O 0.5302 0.1448 0.9640  1 H 1.22
O 0.0096 0.8252 0.8211  1 P 1.50
O 0.2384 0.1034 0.3908  1 H 1.02
O 0.7616 0.8966 0.6092  1 H 1.02
O 0.4698 0.8552 0.0360  1 H 1.22
Se 0.3967 0.2510 0.8050  4 O 1.66-1.72
Se 0.6033 0.7490 0.1950  4 O 1.66-1.72
H 0.2568 0.1180 0.5173  1 O 1.02
H 0.5000 0.0000 0.0000  2 O 1.22
H 0.7783 0.6204 0.9080  1 O 1.02
H 0.0000 0.5000 0.5000  2 O 1.21
H 0.7432 0.8820 0.4827  1 O 1.02
H 0.2217 0.3796 0.0920  1 O 1.02
Rb 0.0987 0.7886 0.1826  7 O 2.92-3.21, 1 H 3.23
Rb 0.3828 0.7216 0.6895  8 O 2.91-3.24
Rb 0.6172 0.2784 0.3105  8 O 2.91-3.24
Rb 0.9013 0.2114 0.8174  7 O 2.92-3.21, 1 H 3.23
P 0.0946 0.2556 0.3060  4 O 1.50-1.60
P 0.9054 0.7444 0.6940  4 O 1.50-1.60



[3]
# NaMg2H3S2O8

An optimized crystal structure of NaMg2H3S2O8 (PBE, Materials Project).

Output
For the excess energy over the best structure of this formula in the dataset, the calculation gives 0.0059 eV per atom. Its crystal system is triclinic. The formation energy is -2.0307 eV/atom. As for the calculated volume: 11.61 Å³ per atom. The value obtained for the calculated total energy is -0.411 Ry per atom. The magnetization comes out at 0.00 μB per formula unit.

abc: 7.9384 7.9384 9.2136
angles: 62.95 62.95 47.51
Closest atoms and distances in Å follow each position.
Atoms (fractional coordinates):
O 0.6411 0.6411 0.6277  1 S 1.58
O 0.2999 0.6620 0.8289  1 S 1.51
O 0.9036 0.9036 0.7146  2 H 0.98
O 0.9386 0.5420 0.2777  1 S 1.57
O 0.8965 0.8965 0.0768  1 S 1.55
O 0.0614 0.4580 0.7223  1 S 1.57
O 0.1436 0.1436 0.5736  1 H 0.98
O 0.6937 0.3304 0.1676  1 S 1.54
O 0.1035 0.1035 0.9232  1 S 1.55
O 0.6696 0.3063 0.8324  1 S 1.54
O 0.4580 0.0614 0.7223  1 S 1.57
O 0.3304 0.6937 0.1676  1 S 1.54
O 0.3589 0.3589 0.3723  1 S 1.58
O 0.8564 0.8564 0.4264  1 H 0.98
O 0.5420 0.9386 0.2777  1 S 1.57
O 0.0964 0.0964 0.2854  2 H 0.98
S 0.4833 0.4833 0.2923  3 O 1.54-1.58
S 0.5167 0.5167 0.7077  3 O 1.51-1.58
S 0.7737 0.7737 0.1626  3 O 1.55-1.57
S 0.2263 0.2263 0.8374  3 O 1.55-1.57
Na 0.6289 0.6289 0.9060  6 O 2.44-2.72
Na 0.3711 0.3711 0.0940  7 O 2.44-2.72
H 0.8901 0.8901 0.4957  1 O 0.98
H 0.2629 0.0175 0.2736  1 O 0.98
H 0.0175 0.2629 0.2736  1 O 0.98
H 0.9825 0.7371 0.7264  1 O 0.98
H 0.1099 0.1099 0.5043  1 O 0.98
H 0.7371 0.9825 0.7264  1 O 0.98
Mg 0.0000 0.5000 0.5000  6 O 2.09-2.15
Mg 0.5000 0.0000 0.5000  6 O 2.09-2.15
Mg 0.9901 0.9901 0.1873  6 O 2.05-2.16
Mg 0.0099 0.0099 0.8127  6 O 2.05-2.16